No. 1
Ba13Nb14O42: relaxed, PBE.

Calculated values
Its final energy is -565.30 eV per formula unit. As for the formation energy from the elements: -21225 kJ/mol of formula units. The volume comes out at 993.8 Å³/cell. The crystal system is triclinic.

Cell: 9.251 10.148 11.714 Å, 73.20 71.57 89.98°
Space group P-1 (No. 2)
Asymmetric unit:
Ba1 0.000 0.000 0.000 x1
Ba2 0.141 0.282 0.148 x2
Ba3 0.141 0.283 0.641 x2
Ba4 0.285 0.571 0.287 x2
Ba5 0.286 0.572 0.785 x2
Ba6 0.424 0.859 0.430 x2
Ba7 0.428 0.858 0.928 x2
Nb1 0.070 0.647 0.570 x2
Nb2 0.071 0.643 0.072 x2
Nb3 0.211 0.929 0.218 x2
Nb4 0.212 0.929 0.711 x2
Nb5 0.353 0.211 0.359 x2
Nb6 0.357 0.213 0.857 x2
Nb7 0.500 0.500 0.000 x1
Nb8 0.500 0.500 0.500 x1
O1 0.000 0.000 0.247 x2
O2 0.000 0.500 0.000 x1
O3 0.000 0.500 0.250 x2
O4 0.000 0.500 0.500 x1
O5 0.142 0.786 0.143 x2
O6 0.143 0.285 0.893 x2
O7 0.143 0.785 0.893 x2
O8 0.145 0.290 0.391 x2
O9 0.145 0.782 0.391 x2
O10 0.145 0.783 0.645 x2
O11 0.286 0.072 0.036 x2
O12 0.286 0.072 0.786 x2
O13 0.286 0.572 0.036 x2
O14 0.286 0.572 0.536 x2
O15 0.289 0.072 0.283 x2
O16 0.290 0.072 0.536 x2
O17 0.428 0.357 0.178 x2
O18 0.428 0.357 0.429 x2
O19 0.428 0.357 0.929 x2
O20 0.429 0.357 0.679 x2
O21 0.429 0.857 0.678 x2
O22 0.429 0.858 0.179 x2



No. 2
MnNi3: relaxed, PBE.

Calculated values
Its final energy is -26.96 eV per formula unit. As for the formation energy from the elements: -45 kJ/mol of formula units. The volume comes out at 45.1 Å³/cell. The crystal system is cubic.

Cell: 3.561 3.561 3.561 Å, 90.00 90.00 90.00°
Space group Pm-3m (No. 221)
Asymmetric unit:
Mn1 0.000 0.000 0.000 x1
Ni1 0.000 0.500 0.500 x3



No. 3
Er6Zn23Ge: relaxed, PBE.

Calculated values
Its final energy is -71.27 eV per formula unit. As for the formation energy from the elements: -991 kJ/mol of formula units. The volume comes out at 2076.7 Å³/cell. The crystal system is cubic.

Cell: 12.758 12.758 12.758 Å, 90.00 90.00 90.00°
Space group Fm-3m (No. 225)
Asymmetric unit:
Er1 0.000 0.000 0.215 x24
Zn1 0.000 0.000 0.500 x4
Zn2 0.000 0.250 0.250 x24
Zn3 0.126 0.126 0.374 x32
Zn4 0.168 0.168 0.168 x32
Ge1 0.000 0.000 0.000 x4